Below is crystalline LiGdO2 at its relaxed geometry, with properties calculated at the meta-GGA r2SCAN level.

a b c (Å): 11.353 3.426 5.302
angles (deg): 90.00 90.00 90.00
Atoms (fractional coordinates):
1 Li 0.065 0.250 0.098
2 Li 0.435 0.750 0.598
3 Li 0.565 0.250 0.402
4 Li 0.935 0.750 0.902
5 Gd 0.140 0.750 0.548
6 Gd 0.360 0.250 0.048
7 Gd 0.640 0.750 0.952
8 Gd 0.860 0.250 0.452
9 O 0.026 0.250 0.746
10 O 0.202 0.250 0.302
11 O 0.298 0.750 0.802
12 O 0.474 0.750 0.246
13 O 0.526 0.250 0.754
14 O 0.702 0.250 0.198
15 O 0.798 0.750 0.698
16 O 0.974 0.750 0.254

Its space group is Pnma, No. 62. The calculation puts the raw total energy at -17.54 eV/atom. As for the relative energy among the computed polymorphs: 0 meV/atom. The energy of formation from the pure elements is -3105 meV per atom. As for the crystal system: orthorhombic.

Below is crystalline Mg3H4O5 at its relaxed geometry, with properties calculated at the meta-GGA r2SCAN level.

a b c (Å): 3.082 3.082 11.914
angles (deg): 90.00 90.00 120.00
Atoms (fractional coordinates):
1 Mg 0.000 0.000 0.000
2 Mg 0.333 0.667 0.602
3 Mg 0.667 0.333 0.398
4 H 0.333 0.667 0.229
5 H 0.333 0.667 0.831
6 H 0.667 0.333 0.169
7 H 0.667 0.333 0.771
8 O 0.000 0.000 0.500
9 O 0.333 0.667 0.310
10 O 0.333 0.667 0.912
11 O 0.667 0.333 0.088
12 O 0.667 0.333 0.690

Its space group is P-3m1, No. 164. The calculation puts the raw total energy at -6.73 eV/atom. The energy of formation from the pure elements is -2047 meV per atom. As for the crystal system: trigonal.

Below is crystalline LuAlPt at its relaxed geometry, with properties calculated at the meta-GGA r2SCAN level.

a b c (Å): 6.733 4.338 7.669
angles (deg): 90.00 90.00 90.00
Atoms (fractional coordinates):
1 Lu 0.029 0.250 0.181
2 Lu 0.471 0.750 0.681
3 Lu 0.529 0.250 0.319
4 Lu 0.971 0.750 0.819
5 Al 0.144 0.250 0.562
6 Al 0.356 0.750 0.062
7 Al 0.644 0.250 0.938
8 Al 0.856 0.750 0.438
9 Pt 0.233 0.750 0.381
10 Pt 0.267 0.250 0.881
11 Pt 0.733 0.750 0.119
12 Pt 0.767 0.250 0.619

Its space group is Pnma, No. 62. The calculation puts the raw total energy at -33.40 eV/atom. The energy of formation from the pure elements is -1300 meV per atom. As for the crystal system: orthorhombic.

Below is crystalline Nd3SbO7 at its relaxed geometry, with properties calculated at the meta-GGA r2SCAN level.

a b c (Å): 6.652 6.652 7.703
angles (deg): 90.00 90.00 109.74
Atoms (fractional coordinates):
1 Nd 0.000 0.000 0.000
2 Nd 0.000 0.000 0.500
3 Nd 0.033 0.499 0.750
4 Nd 0.499 0.033 0.250
5 Nd 0.501 0.967 0.750
6 Nd 0.967 0.501 0.250
7 Sb 0.500 0.500 0.000
8 Sb 0.500 0.500 0.500
9 O 0.130 0.870 0.250
10 O 0.134 0.866 0.750
11 O 0.188 0.431 0.028
12 O 0.188 0.431 0.472
13 O 0.431 0.188 0.528
14 O 0.431 0.188 0.972
15 O 0.439 0.561 0.750
16 O 0.561 0.439 0.250
17 O 0.569 0.812 0.028
18 O 0.569 0.812 0.472
19 O 0.812 0.569 0.528
20 O 0.812 0.569 0.972
21 O 0.866 0.134 0.250
22 O 0.870 0.130 0.750

Its space group is Cmcm, No. 63. The calculation puts the raw total energy at -17.31 eV/atom. As for the relative energy among the computed polymorphs: 0 meV/atom. The energy of formation from the pure elements is -3154 meV per atom. As for the crystal system: orthorhombic.

Below is crystalline TiGe2 at its relaxed geometry, with properties calculated at the meta-GGA r2SCAN level.

a b c (Å): 6.144 5.049 4.988
angles (deg): 75.49 52.71 51.81
Atoms (fractional coordinates):
1 Ti 0.125 0.125 0.125
2 Ti 0.875 0.875 0.875
3 Ge 0.208 0.542 0.208
4 Ge 0.458 0.792 0.458
5 Ge 0.542 0.208 0.542
6 Ge 0.792 0.458 0.792

Its space group is Fddd, No. 70. The calculation puts the raw total energy at -13.95 eV/atom. The energy of formation from the pure elements is -393 meV per atom. As for the crystal system: orthorhombic.

Below is crystalline PaSiTc2 at its relaxed geometry, with properties calculated at the meta-GGA r2SCAN level.

a b c (Å): 4.552 4.552 4.552
angles (deg): 60.00 60.00 60.00
Atoms (fractional coordinates):
1 Pa 0.000 0.000 0.000
2 Si 0.500 0.500 0.500
3 Tc 0.250 0.250 0.250
4 Tc 0.750 0.750 0.750

Its space group is Fm-3m, No. 225. The calculation puts the raw total energy at -34.72 eV/atom. The energy of formation from the pure elements is -332 meV per atom. As for the crystal system: cubic.

Below is crystalline NdTmIn2 at its relaxed geometry, with properties calculated at the meta-GGA r2SCAN level.

a b c (Å): 5.348 5.348 5.348
angles (deg): 60.00 60.00 60.00
Atoms (fractional coordinates):
1 Nd 0.000 0.000 0.000
2 Tm 0.500 0.500 0.500
3 In 0.250 0.250 0.250
4 In 0.750 0.750 0.750

Its space group is Fm-3m, No. 225. The calculation puts the raw total energy at -28.00 eV/atom. The energy of formation from the pure elements is -577 meV per atom. As for the crystal system: cubic.

Below is crystalline V3Ga at its relaxed geometry, with properties calculated at the meta-GGA r2SCAN level.

a b c (Å): 4.764 4.764 4.764
angles (deg): 90.00 90.00 90.00
Atoms (fractional coordinates):
1 V 0.000 0.250 0.500
2 V 0.000 0.750 0.500
3 V 0.250 0.500 0.000
4 V 0.500 0.000 0.250
5 V 0.500 0.000 0.750
6 V 0.750 0.500 0.000
7 Ga 0.000 0.000 0.000
8 Ga 0.500 0.500 0.500

Its space group is Pm-3n, No. 223. The calculation puts the raw total energy at -13.65 eV/atom. The energy of formation from the pure elements is -226 meV per atom. As for the crystal system: cubic.

Below is crystalline ScBC at its relaxed geometry, with properties calculated at the meta-GGA r2SCAN level.

a b c (Å): 2.916 2.916 7.316
angles (deg): 90.00 90.00 120.00
Atoms (fractional coordinates):
1 Sc 0.000 0.000 0.000
2 Sc 0.000 0.000 0.500
3 B 0.333 0.667 0.250
4 B 0.667 0.333 0.750
5 C 0.333 0.667 0.750
6 C 0.667 0.333 0.250

Its space group is P6_3/mmc, No. 194. The calculation puts the raw total energy at -10.21 eV/atom. The energy of formation from the pure elements is -642 meV per atom. As for the crystal system: hexagonal.

Below is crystalline NbGeRh at its relaxed geometry, with properties calculated at the meta-GGA r2SCAN level.

a b c (Å): 6.490 3.843 7.449
angles (deg): 90.00 90.00 90.00
Atoms (fractional coordinates):
1 Nb 0.028 0.250 0.178
2 Nb 0.472 0.750 0.678
3 Nb 0.528 0.250 0.322
4 Nb 0.972 0.750 0.822
5 Ge 0.239 0.750 0.376
6 Ge 0.261 0.250 0.876
7 Ge 0.739 0.750 0.124
8 Ge 0.761 0.250 0.624
9 Rh 0.143 0.250 0.562
10 Rh 0.357 0.750 0.062
11 Rh 0.643 0.250 0.938
12 Rh 0.857 0.750 0.438

Its space group is Pnma, No. 62. The calculation puts the raw total energy at -21.58 eV/atom. The energy of formation from the pure elements is -664 meV per atom. As for the crystal system: orthorhombic.

Below is crystalline Rh3Pb2Se2 at its relaxed geometry, with properties calculated at the meta-GGA r2SCAN level.

a b c (Å): 5.917 5.917 5.917
angles (deg): 58.35 58.35 58.35
Atoms (fractional coordinates):
1 Rh 0.000 0.500 0.500
2 Rh 0.500 0.000 0.500
3 Rh 0.500 0.500 0.000
4 Pb 0.000 0.000 0.000
5 Pb 0.500 0.500 0.500
6 Se 0.213 0.213 0.213
7 Se 0.787 0.787 0.787

Its space group is R-3m, No. 166. The calculation puts the raw total energy at -30.90 eV/atom. The energy of formation from the pure elements is -383 meV per atom. As for the crystal system: trigonal.

Below is crystalline Hf2Si at its relaxed geometry, with properties calculated at the meta-GGA r2SCAN level.

a b c (Å): 5.303 5.303 5.303
angles (deg): 103.72 103.72 121.71
Atoms (fractional coordinates):
1 Hf 0.156 0.656 0.813
2 Hf 0.344 0.156 0.500
3 Hf 0.656 0.844 0.500
4 Hf 0.844 0.344 0.187
5 Si 0.250 0.250 0.000
6 Si 0.750 0.750 0.000

Its space group is I4/mcm, No. 140. The calculation puts the raw total energy at -33.82 eV/atom. The energy of formation from the pure elements is -791 meV per atom. As for the crystal system: tetragonal.